Computed, not measured: a relaxed structure of SnPO4 at the PBE level of DFT.

```
SnPO4
1.0
4.386 0.000 0.000
0.000 15.554 0.000
-0.070 0.000 5.099
Sn P O
4 4 16
Cartesian
0.295 2.589 2.135 Sn
0.260 5.188 4.684 Sn
4.056 10.366 0.415 Sn
4.021 12.965 2.964 Sn
1.824 10.130 2.971 P
1.859 13.201 0.422 P
2.457 2.353 4.677 P
2.492 5.424 2.128 P
0.766 11.074 3.696 O
0.801 12.257 1.147 O
1.114 9.317 1.873 O
1.080 14.014 4.423 O
1.434 3.257 0.298 O
1.399 4.520 2.848 O
1.777 1.528 3.565 O
1.812 6.249 1.015 O
2.504 9.305 4.084 O
2.539 14.026 1.534 O
2.917 11.034 2.251 O
2.882 12.298 4.801 O
3.237 1.540 0.676 O
3.202 6.237 3.226 O
3.515 3.297 3.952 O
3.550 4.480 1.403 O
```

Space group = No. 14
Crystal system = monoclinic
Formation energy = -2.184 eV/atom